# Mg3V2O6

A relaxed Mg3V2O6 crystal (PBE with a Hubbard U, Materials Project).

```
Mg3V2O6
1.0
-2.9027 2.3904 4.6020
-3.1736 -2.9237 -4.2834
1.9296 -12.8982 7.7163
O Mg V
24 12 8
Cartesian
-3.1553 -11.4962 3.8914 O
-1.8197 -3.8558 6.4419 O
-1.4126 -1.5635 0.0139 O
0.1866 -11.3203 7.7298 O
-2.6739 -3.0583 -2.0356 O
-1.3201 -12.9787 5.7325 O
-2.1585 -9.6440 1.6807 O
-3.9986 -2.1542 4.3305 O
-2.3099 -6.4883 1.7875 O
-1.7550 -6.9368 6.0824 O
-0.4937 -7.9914 3.9481 O
-4.1387 -4.9579 -0.0474 O
-1.5283 -9.9846 5.9785 O
-1.7113 -12.6623 1.5803 O
-2.7718 -11.7884 8.1226 O
0.4518 -3.2053 1.8853 O
-3.7498 -5.2712 4.1010 O
-4.4257 -2.1452 0.2262 O
-2.7676 -3.5005 1.9714 O
-3.3966 -8.0841 3.8698 O
-0.2021 -11.2657 3.7093 O
-1.4521 -10.2513 10.0944 O
-2.7431 -0.4764 2.2355 O
-0.6127 -5.2437 4.1820 O
-4.2367 -2.1641 2.2989 Mg
-3.0826 -11.9840 6.0781 Mg
-1.4445 -10.0721 8.0312 Mg
-3.1578 -9.7031 4.8156 Mg
-2.7731 -3.3737 -0.0382 Mg
-0.4333 -9.5143 2.6839 Mg
-0.9830 0.2047 1.1132 Mg
-3.4280 -3.7107 5.4442 Mg
-1.3348 -2.2785 2.2416 Mg
-3.4022 -0.5033 0.0936 Mg
-2.8009 -6.4943 -0.3611 Mg
-5.0763 -7.0227 4.1987 Mg
-2.5952 -0.6412 4.4179 V
-3.6013 -8.1945 1.8859 V
-4.4150 0.9540 2.5149 V
-3.8644 -5.1001 2.0835 V
-1.5383 -12.7422 3.6220 V
-0.2557 -8.2566 5.9795 V
0.0014 -11.2825 5.7051 V
-2.0190 -6.6351 3.9863 V
```

Computed properties:
Energy of formation (eV per atom): -2.72
Space-group type: No. 1
Calculated total energy (eV per atom): -6.82

=====

# MgVO2

A relaxed MgVO2 crystal (PBE with a Hubbard U, Materials Project).

```
MgVO2
1.0
-5.5605 -0.1805 -0.5854
-5.0007 -1.1319 2.2374
-5.0316 1.8345 1.6161
Mg V O
1 1 2
Cartesian
-2.6379 0.0883 0.5529 Mg
-15.5763 0.5216 3.2647 V
-9.0663 0.3036 1.9003 O
-6.5039 0.2178 1.3632 O
```

Computed properties:
Energy of formation (eV per atom): -2.34
Space-group type: No. 160
Calculated total energy (eV per atom): -6.72

=====

# MgV2O6

A relaxed MgV2O6 crystal (PBE with a Hubbard U, Materials Project).

```
MgV2O6
1.0
-4.1556 2.8359 -0.2812
-4.1017 1.0121 2.7463
0.8531 5.8110 3.4855
O Mg V
6 1 2
Cartesian
-2.3589 4.9074 2.9984 O
-7.7455 5.0017 3.1510 O
-5.0453 4.7516 2.9523 O
-4.9326 8.1003 4.9676 O
-2.4716 1.5587 0.9830 O
0.3413 4.6573 2.7996 O
0.4265 2.9055 1.7428 Mg
-6.5191 4.0081 2.5306 V
-0.8851 5.6509 3.4200 V
```

Computed properties:
Energy of formation (eV per atom): -2.52
Excess energy over the best structure of this formula in the dataset (meV/atom): 8
Space-group type: No. 12
Calculated total energy (eV per atom): -7.18